Computed, not measured: Ba6CdAg2Sn4S16 after structural relaxation at the PBE-GGA level of DFT.

```
data_Ba6CdAg2Sn4S16
_chemical_formula_sum 'Ba24 Cd4 Ag8 Sn16 S64'
_cell_length_a 14.968
_cell_length_b 14.968
_cell_length_c 14.925
_cell_angle_alpha 90.00
_cell_angle_beta 90.00
_cell_angle_gamma 90.00
_space_group_name_H-M_alt 'I -4 2 d'
_space_group_IT_number 122
_space_group_name_Hall 'I -4 2bw'
loop_
_atom_site_label
_atom_site_type_symbol
_atom_site_fract_x
_atom_site_fract_y
_atom_site_fract_z
Ba1 Ba 0.000 0.000 0.142
Ba2 Ba 0.018 0.250 0.625
Ba3 Ba 0.231 0.750 0.125
Cd1 Cd 0.000 0.000 0.500
Ag1 Ag 0.125 0.250 0.125
Sn1 Sn 0.024 0.730 0.897
S1 S 0.067 0.166 0.983
S2 S 0.083 0.139 0.441
S3 S 0.109 0.684 0.461
S4 S 0.114 0.635 0.988
```

Output
energy of formation from the pure elements	-1.4301	eV/atom
magnetic moment	0.00	μB/cell
V	3344	Å³ per cell

=====

Computed, not measured: ScU8S17 after structural relaxation at the PBE-GGA level of DFT.

```
data_ScU8S17
_chemical_formula_sum 'Sc2 U16 S34'
_cell_length_a 13.235
_cell_length_b 8.410
_cell_length_c 10.500
_cell_angle_alpha 90.00
_cell_angle_beta 101.12
_cell_angle_gamma 90.00
_space_group_name_H-M_alt 'C 1 2/m 1'
_space_group_IT_number 12
loop_
_space_group_symop_operation_xyz
'x,y,z'
'-x,-y,-z'
'-x,y,-z'
'x,-y,z'
'x+1/2,y+1/2,z'
'-x+1/2,-y+1/2,-z'
'-x+1/2,y+1/2,-z'
'x+1/2,-y+1/2,z'
loop_
_atom_site_label
_atom_site_type_symbol
_atom_site_fract_x
_atom_site_fract_y
_atom_site_fract_z
Sc1 Sc 0.000 0.000 0.000
U1 U 0.059 0.242 0.697
U2 U 0.181 0.500 0.018
U3 U 0.205 0.000 0.459
S1 S 0.000 0.000 0.500
S2 S 0.021 0.500 0.170
S3 S 0.062 0.000 0.235
S4 S 0.127 0.305 0.466
S5 S 0.136 0.195 0.964
S6 S 0.196 0.500 0.752
S7 S 0.211 0.000 0.721
```

Output
energy of formation from the pure elements	-1.7735	eV/atom
V	1147	Å³ per cell

=====

Computed, not measured: Y2Al9Si27N45O3 after structural relaxation at the PBE-GGA level of DFT.

```
data_Y2Al9Si27N45O3
_chemical_formula_sum 'Y2 Al9 Si27 N45 O3'
_cell_length_a 7.898
_cell_length_b 7.925
_cell_length_c 17.236
_cell_angle_alpha 89.96
_cell_angle_beta 89.82
_cell_angle_gamma 60.36
_space_group_name_H-M_alt 'P 1'
_space_group_IT_number 1
loop_
_space_group_symop_operation_xyz
'x,y,z'
loop_
_atom_site_label
_atom_site_type_symbol
_atom_site_fract_x
_atom_site_fract_y
_atom_site_fract_z
Y1 Y 0.000 0.000 0.000
Y2 Y 0.020 0.979 0.345
Al1 Al 0.106 0.148 0.502
Al2 Al 0.264 0.555 0.330
Al3 Al 0.581 0.171 0.992
Al4 Al 0.749 0.092 0.165
Al5 Al 0.754 0.407 0.263
Al6 Al 0.754 0.408 0.927
Al7 Al 0.757 0.080 0.504
Al8 Al 0.758 0.088 0.828
Al9 Al 0.765 0.396 0.600
Si1 Si 0.112 0.143 0.164
Si2 Si 0.117 0.136 0.830
Si3 Si 0.163 0.737 0.828
Si4 Si 0.166 0.737 0.162
Si5 Si 0.168 0.727 0.501
Si6 Si 0.190 0.220 0.667
Si7 Si 0.191 0.234 0.996
Si8 Si 0.194 0.226 0.330
Si9 Si 0.247 0.569 0.666
Si10 Si 0.250 0.570 0.997
Si11 Si 0.427 0.819 0.595
Si12 Si 0.427 0.827 0.258
Si13 Si 0.431 0.825 0.925
Si14 Si 0.502 0.889 0.429
Si15 Si 0.507 0.898 0.093
Si16 Si 0.510 0.891 0.758
Si17 Si 0.587 0.165 0.330
Si18 Si 0.588 0.479 0.764
Si19 Si 0.592 0.166 0.664
Si20 Si 0.593 0.478 0.434
Si21 Si 0.596 0.478 0.096
Si22 Si 0.840 0.737 0.598
Si23 Si 0.844 0.740 0.263
Si24 Si 0.845 0.739 0.925
Si25 Si 0.928 0.573 0.095
Si26 Si 0.930 0.569 0.428
Si27 Si 0.933 0.561 0.761
N1 N 0.017 0.971 0.472
N2 N 0.018 0.987 0.136
N3 N 0.024 0.984 0.815
N4 N 0.030 0.261 0.596
N5 N 0.032 0.238 0.256
N6 N 0.033 0.241 0.925
N7 N 0.065 0.315 0.415
N8 N 0.068 0.313 0.088
N9 N 0.073 0.307 0.760
N10 N 0.274 0.724 0.252
N11 N 0.276 0.716 0.925
N12 N 0.283 0.700 0.591
N13 N 0.329 0.335 0.975
N14 N 0.330 0.613 0.756
N15 N 0.333 0.614 0.085
N16 N 0.336 0.611 0.424
N17 N 0.345 0.318 0.653
N18 N 0.347 0.969 0.344
N19 N 0.352 0.302 0.304
N20 N 0.353 0.978 0.010
N21 N 0.362 0.970 0.678
N22 N 0.363 0.975 0.174
N23 N 0.369 0.969 0.843
N24 N 0.370 0.958 0.510
N25 N 0.654 0.346 0.846
N26 N 0.659 0.348 0.178
N27 N 0.672 0.662 0.599
N28 N 0.672 0.670 0.261
N29 N 0.673 0.324 0.686
N30 N 0.674 0.669 0.931
N31 N 0.675 0.336 0.512
N32 N 0.678 0.653 0.094
N33 N 0.680 0.646 0.425
N34 N 0.681 0.646 0.764
N35 N 0.682 0.315 0.351
N36 N 0.695 0.318 0.018
N37 N 0.724 0.990 0.597
N38 N 0.745 0.994 0.263
N39 N 0.750 0.986 0.926
N40 N 0.988 0.656 0.511
N41 N 0.989 0.664 0.176
N42 N 0.991 0.666 0.345
N43 N 0.995 0.654 0.843
N44 N 0.995 0.665 0.012
N45 N 0.998 0.644 0.679
O1 O 0.618 0.032 0.416
O2 O 0.626 0.029 0.088
O3 O 0.628 0.028 0.753
```

Output
energy of formation from the pure elements	-1.2486	eV/atom
magnetic moment	0.00	μB/cell
V	938	Å³ per cell

=====

Computed, not measured: BaPrSn2S6 after structural relaxation at the PBE-GGA level of DFT.

```
data_BaPrSn2S6
_chemical_formula_sum 'Ba4 Pr4 Sn8 S24'
_cell_length_a 4.061
_cell_length_b 20.278
_cell_length_c 12.097
_cell_angle_alpha 90.00
_cell_angle_beta 90.00
_cell_angle_gamma 90.00
_space_group_name_H-M_alt 'P m c 21'
_space_group_IT_number 26
loop_
_space_group_symop_operation_xyz
'x,y,z'
'-x,-y,z+1/2'
'-x,y,z'
'x,-y,z+1/2'
loop_
_atom_site_label
_atom_site_type_symbol
_atom_site_fract_x
_atom_site_fract_y
_atom_site_fract_z
Ba1 Ba 0.000 0.079 0.000
Ba2 Ba 0.000 0.362 0.565
Pr1 Pr 0.000 0.121 0.634
Pr2 Pr 0.000 0.418 0.945
Sn1 Sn 0.000 0.255 0.214
Sn2 Sn 0.500 0.093 0.324
Sn3 Sn 0.500 0.249 0.817
Sn4 Sn 0.500 0.424 0.271
S1 S 0.000 0.017 0.258
S2 S 0.000 0.167 0.396
S3 S 0.000 0.258 0.939
S4 S 0.000 0.492 0.221
S5 S 0.500 0.043 0.520
S6 S 0.500 0.122 0.812
S7 S 0.500 0.162 0.149
S8 S 0.500 0.231 0.614
S9 S 0.500 0.318 0.366
S10 S 0.500 0.362 0.089
S11 S 0.500 0.372 0.782
S12 S 0.500 0.477 0.466
```

Output
energy of formation from the pure elements	-1.4767	eV/atom
magnetic moment	0.00	μB/cell
V	996	Å³ per cell